Entry 1:
Computed, not measured: crystalline Ti3Bi4O12 at its relaxed geometry at the r2SCAN level of DFT.

Results
energy = -20.441 eV per atom

```
38
Lattice="2.732 -16.483 0.000 2.732 16.483 0.000 0.000 0.000 5.421" Properties=species:S:1:pos:R:3 pbc="T T T"
Bi 2.877 9.515 0.121
Bi 2.742 14.307 0.011
Bi 2.877 6.968 2.832
Bi 2.742 -2.176 2.700
Bi 2.742 2.176 2.721
Bi 2.742 -14.307 5.411
Bi 2.877 -9.515 5.300
Bi 2.877 -6.968 2.589
O 4.983 1.928 2.317
O 1.146 -3.609 1.494
O 0.973 0.319 4.089
O 1.383 -8.226 4.114
O 1.383 -8.257 1.404
O 2.250 -1.928 5.027
O 0.973 -0.319 1.332
O 3.705 0.319 4.043
O 2.448 -5.940 0.324
O 4.983 -1.928 3.104
O 3.878 3.609 4.204
O 0.772 4.077 1.095
O 2.448 -10.543 3.035
O 1.383 8.257 4.017
O 2.250 1.928 0.394
O 3.505 -4.077 3.806
O 2.448 10.543 2.386
O 1.146 3.609 3.927
O 2.448 5.940 5.097
O 0.772 -4.077 4.326
O 3.505 4.077 1.615
O 1.383 8.226 1.307
O 3.705 -0.319 1.378
O 3.878 -3.609 1.217
Ti 5.242 0.000 2.711
Ti 2.509 0.000 0.000
Ti 2.478 -12.281 2.697
Ti 2.478 4.202 0.013
Ti 2.478 12.281 2.724
Ti 2.478 -4.202 5.408
```



Entry 2:
Computed, not measured: crystalline Ti3Bi4O12 at its relaxed geometry at the r2SCAN level of DFT.

Results
energy = -20.441 eV per atom

```
38
Lattice="-5.369 -0.228 -0.590 0.563 -4.096 -3.546 -0.622 -12.910 10.649" Properties=species:S:1:pos:R:3 pbc="T T T"
O -2.821 -13.881 4.763
O -4.886 -12.185 8.324
O -3.717 -1.777 0.663
O -4.061 -8.445 0.238
O -5.008 -5.883 -0.702
O -1.120 -14.085 6.934
O -0.135 -3.616 1.637
O -5.349 -8.798 2.918
O -1.467 -3.741 -0.893
O -3.964 -9.388 5.512
O -2.918 -4.248 1.447
O -0.180 -13.775 4.419
O -4.974 -1.850 -1.701
O -0.345 -6.526 5.271
O -2.983 -16.063 7.211
O -2.664 -8.662 3.191
O -1.641 -11.349 3.964
O -5.281 -11.931 5.662
O -2.208 -6.278 -0.279
O -2.969 -14.003 9.016
O 0.274 -3.688 -2.928
O -3.027 -6.617 4.955
O -1.046 -6.257 2.374
O -2.778 -11.819 6.572
Ti -1.407 -12.455 5.338
Ti -3.665 -7.271 -1.016
Ti -4.629 -13.250 9.986
Ti -1.641 -15.183 8.510
Ti -4.397 -10.521 6.813
Ti -1.258 -5.109 1.052
Bi -0.906 -5.620 -2.086
Bi -4.242 -6.809 3.044
Bi -3.870 -10.510 3.224
Bi -1.846 -11.556 8.811
Bi -4.234 -13.718 6.744
Bi -3.847 -3.685 -0.605
Bi -1.052 -8.733 1.591
Bi -1.707 -8.358 5.265
```



Entry 3:
Computed, not measured: crystalline VBiO4 at its relaxed geometry at the r2SCAN level of DFT.

Results
energy = -18.197 eV per atom

```
12
Lattice="-2.561 2.561 5.796 2.561 -2.561 5.796 2.561 2.561 -5.796" Properties=species:S:1:pos:R:3 pbc="T T T"
O 1.280 1.839 0.917
O 3.283 -1.281 3.815
O 3.842 0.722 1.981
O 1.839 1.281 3.815
O 3.283 1.280 -0.917
O 1.281 0.722 6.713
O 1.280 -0.722 1.981
O -0.722 1.281 4.879
Bi 0.000 2.561 2.898
Bi 0.000 0.000 0.000
V 2.561 0.000 2.898
V 0.000 0.000 5.796
```



Entry 4:
Computed, not measured: crystalline V2Bi4O11 at its relaxed geometry at the r2SCAN level of DFT.

Results
energy = -21.162 eV per atom

```
17
Lattice="4.942 -2.445 1.251 -2.161 -4.879 -1.620 4.877 -0.004 -6.432" Properties=species:S:1:pos:R:3 pbc="T T T"
Bi 4.632 -6.679 -4.786
Bi 2.916 -2.939 -4.885
Bi 3.582 -0.996 -1.669
Bi 4.551 -4.604 -1.791
O 0.954 -3.786 -4.212
O 2.404 -3.816 -1.414
O 4.648 -2.528 -2.832
O 2.294 -4.657 -6.413
O 6.250 -4.411 -5.004
O 4.742 -3.861 -7.103
O 3.256 -6.593 -1.547
O 6.269 -1.745 -6.140
O 3.475 -4.985 -3.709
O 8.698 -3.648 -5.611
O 2.156 -1.314 -3.427
V 5.068 -0.350 -6.295
V 6.250 -3.526 -6.491
```



Entry 5:
Computed, not measured: crystalline VBiO4 at its relaxed geometry at the r2SCAN level of DFT.

Results
energy = -18.194 eV per atom

```
12
Lattice="5.833 -0.054 -1.730 -3.262 4.835 -1.730 0.029 0.054 6.084" Properties=species:S:1:pos:R:3 pbc="T T T"
O -0.455 3.859 1.451
O -0.856 3.114 4.214
O 1.673 3.859 3.032
O 0.926 0.977 -0.409
O 0.318 1.338 2.633
O 3.055 0.977 1.172
O 3.455 1.722 -1.591
O 2.281 3.497 -0.010
Bi -2.118 4.238 -0.209
Bi 4.718 0.598 2.833
V 0.170 3.042 2.833
V 2.429 1.793 -0.209
```



Entry 6:
Computed, not measured: crystalline Bi2WO6 at its relaxed geometry at the r2SCAN level of DFT.

Results
energy = -24.543 eV per atom

```
36
Lattice="-0.019 4.789 2.639 -5.400 0.418 -0.798 -2.725 -7.898 14.313" Properties=species:S:1:pos:R:3 pbc="T T T"
Bi -4.435 -1.830 9.215
Bi -5.306 -4.790 14.065
Bi -1.744 0.135 10.812
Bi -2.596 -7.179 13.262
Bi -0.300 1.902 2.465
Bi -4.007 -3.011 5.697
Bi -3.009 4.291 3.267
Bi -1.315 -1.046 7.293
O -6.063 -2.019 12.517
O -5.342 3.699 3.741
O -2.719 -2.708 7.594
O -7.286 -4.358 12.682
O -1.283 1.346 0.511
O -2.725 -0.304 8.898
O -4.579 -6.253 12.152
O -1.689 1.420 5.637
O -5.426 0.016 8.561
O -5.635 -4.175 10.639
O -5.419 -2.387 7.257
O -1.878 -0.689 3.668
O -5.988 -2.059 4.584
O -4.014 -4.147 16.126
O -6.713 -4.049 15.666
O -2.635 1.804 3.210
O -4.390 1.858 5.365
O -3.294 -0.627 5.887
O -3.983 1.444 0.051
O -4.579 -0.141 3.456
O -3.361 -2.567 12.729
O -6.774 -1.916 9.984
O -2.934 -4.613 10.911
O -4.080 -0.484 11.286
W -6.053 3.212 5.410
W -4.698 -5.702 10.360
W -7.408 -3.138 11.259
W -3.343 0.648 4.511
```



Entry 7:
Computed, not measured: crystalline Bi2WO6 at its relaxed geometry at the r2SCAN level of DFT.

Results
energy = -24.526 eV per atom

```
18
Lattice="5.811 -4.991 3.246 6.857 -4.694 -0.409 5.868 5.388 2.117" Properties=species:S:1:pos:R:3 pbc="T T T"
O 2.281 -0.198 0.637
O 8.261 -3.202 2.104
O 3.848 1.862 1.253
O 10.274 -1.096 2.851
O 12.735 -8.047 2.990
O 13.003 -3.669 3.423
O 14.687 -6.160 3.702
O 16.254 -4.100 4.318
O 5.800 3.749 1.965
O 10.220 -6.639 2.385
O 5.532 -0.629 1.532
O 8.315 2.341 2.570
Bi 7.597 0.150 2.186
Bi 4.636 -2.841 1.096
Bi 10.938 -4.448 2.768
Bi 13.899 -1.457 3.859
W 16.755 -5.863 4.318
W 1.780 1.565 0.637
```



Entry 8:
Computed, not measured: crystalline Bi2WO6 at its relaxed geometry at the r2SCAN level of DFT.

Results
energy = -24.543 eV per atom

```
18
Lattice="-5.452 6.560 1.814 0.845 -7.285 -4.718 -2.140 -2.919 4.124" Properties=species:S:1:pos:R:3 pbc="T T T"
O -4.521 -0.615 1.460
O -3.419 -6.144 -0.736
O -6.619 0.707 2.631
O -2.819 -3.123 -0.614
O -2.096 -8.524 -0.411
O -5.085 -3.072 0.703
O -5.543 2.151 0.561
O -1.984 -0.652 0.375
O -2.342 -4.700 -2.806
O -2.758 -2.677 2.109
O -5.244 4.786 1.258
O -4.263 -0.982 -1.122
Bi -5.304 -0.785 3.821
Bi -1.187 -6.385 -1.313
Bi -5.200 2.798 2.760
Bi -1.083 -2.803 -2.373
W -3.344 -1.818 0.629
W -4.578 -0.721 -2.885
```



Entry 9:
Computed, not measured: crystalline YbBiO3 at its relaxed geometry at the r2SCAN level of DFT.

Results
energy = -25.241 eV per atom

```
10
Lattice="5.210 -2.957 -0.080 5.210 2.957 -0.080 3.607 0.000 4.784" Properties=species:S:1:pos:R:3 pbc="T T T"
Yb 3.887 0.000 1.281
Yb 10.900 0.000 3.593
O 5.311 1.618 2.009
O 7.115 1.340 4.402
O 8.395 1.022 0.517
O 5.865 -0.596 0.329
O 7.668 -2.361 2.721
O 4.988 -1.022 2.990
Bi 6.904 0.000 2.276
Bi 13.917 0.000 4.587
```



Entry 10:
Computed, not measured: crystalline YbBi12O20 at its relaxed geometry at the r2SCAN level of DFT.

Results
energy = -27.453 eV per atom

```
33
Lattice="-5.081 5.081 5.081 5.081 -5.081 5.081 5.081 5.081 -5.081" Properties=species:S:1:pos:R:3 pbc="T T T"
O -1.360 4.930 2.538
O 3.859 3.859 -3.859
O 3.721 0.151 2.543
O 2.538 1.360 5.232
O 5.232 2.538 1.360
O -0.151 2.543 6.442
O 1.222 1.222 1.222
O 1.742 1.742 -1.742
O 4.930 2.538 -1.360
O 3.339 3.339 3.339
O 2.543 3.721 0.151
O 1.742 -1.742 1.742
O 2.538 -1.360 4.930
O 2.543 6.442 -0.151
O 0.151 2.543 3.721
O 3.859 -3.859 3.859
O -1.742 1.742 1.742
O 6.442 -0.151 2.543
O 1.360 5.232 2.538
O -3.859 3.859 3.859
Bi -1.849 3.320 5.123
Bi 5.039 1.849 3.320
Bi 3.232 1.761 -0.042
Bi 3.320 5.039 1.849
Bi -0.042 3.232 1.761
Bi 3.320 5.123 -1.849
Bi 1.849 3.320 5.039
Bi 1.761 -0.042 3.232
Bi 0.042 6.931 1.761
Bi 5.123 -1.849 3.320
Bi 6.931 1.761 0.042
Bi 1.761 0.042 6.931
Yb 0.000 0.000 0.000
```



Entry 11:
Computed, not measured: crystalline ZrZnBi2O6 at its relaxed geometry at the r2SCAN level of DFT.

Results
energy = -20.140 eV per atom

```
10
Lattice="0.000 4.024 4.024 4.024 0.000 4.024 4.024 4.024 0.000" Properties=species:S:1:pos:R:3 pbc="T T T"
Bi 2.012 2.012 2.012
Bi 6.036 6.036 6.036
Zr 4.024 4.024 4.024
O 4.024 4.024 1.986
O 4.024 4.024 6.061
O 6.061 4.024 4.024
O 1.986 4.024 4.024
O 4.024 1.986 4.024
O 4.024 6.061 4.024
Zn 0.000 0.000 0.000
```



Entry 12:
Computed, not measured: crystalline Bi2P3Se9 at its relaxed geometry at the r2SCAN level of DFT.

Results
energy = -19.735 eV per atom

```
56
Lattice="7.558 0.000 0.000 0.000 9.647 0.021 0.000 9.153 21.493" Properties=species:S:1:pos:R:3 pbc="T T T"
Bi 6.920 2.143 3.477
Bi 6.102 11.563 18.329
Bi 5.236 6.986 7.583
Bi 1.457 7.237 3.184
Bi 2.322 11.814 13.931
Bi 0.638 16.657 18.037
Bi 4.417 6.720 14.223
Bi 3.141 12.080 7.290
Se 6.565 5.205 2.525
Se 1.072 9.689 19.097
Se 4.851 13.687 13.163
Se 4.772 9.781 13.271
Se 2.707 5.113 8.351
Se 2.786 9.019 8.242
Se 1.834 8.834 15.702
Se 6.132 8.638 9.642
Se 5.613 14.543 16.558
Se 7.144 7.095 13.366
Se 1.426 10.162 11.871
Se 2.633 9.065 1.433
Se 0.655 2.357 0.961
Se 6.903 16.443 20.553
Se 1.945 4.257 4.955
Se 1.981 14.786 15.487
Se 3.124 6.934 11.707
Se 6.412 5.158 9.334
Se 5.206 13.214 20.389
Se 7.224 11.559 15.128
Se 3.364 16.281 18.894
Se 6.486 9.111 2.416
Se 5.761 8.591 16.772
Se 5.725 9.966 5.812
Se 3.444 11.818 17.132
Se 2.353 5.586 1.125
Se 1.146 13.642 12.180
Se 4.114 6.982 4.382
Se 0.415 11.705 8.148
Se 1.798 10.209 4.741
Se 0.993 13.595 18.989
Se 4.925 9.735 20.080
Se 4.434 11.866 9.806
Se 0.335 7.241 6.385
Se 5.577 4.014 6.026
Se 4.194 2.519 2.619
P 2.589 9.822 17.486
P 3.314 10.237 3.168
P 0.422 4.540 1.015
P 7.093 3.986 7.599
P 6.368 13.555 14.774
P 3.357 9.116 11.761
P 4.244 8.563 18.345
P 1.190 5.245 6.739
P 4.969 8.978 4.028
P 7.136 14.260 20.499
P 0.465 14.814 13.915
P 4.201 9.684 9.752
```



Question: energy of number 11 (ZrZnBi2O6)?
Answer: -20.140 eV per atom



Question: Which value of energy does entry 1 give?
Answer: -20.441 eV per atom



Question: The highest energy belongs to which entry?
Answer: number 5



Question: Among the records above, which one has the highest energy?
Answer: number 5